VASP calculation (PBE-GGA) on a geometry-optimized SnS16Cl4O2 structure.

```
data_SnS16Cl4O2
_chemical_formula_sum 'Sn4 S64 Cl16 O8'
_cell_length_a 8.907
_cell_length_b 14.220
_cell_length_c 23.968
_cell_angle_alpha 90.00
_cell_angle_beta 110.13
_cell_angle_gamma 90.00
_space_group_name_H-M_alt 'P 1 21/c 1'
_space_group_IT_number 14
_space_group_name_Hall '-P 2ybc'
loop_
_atom_site_label
_atom_site_type_symbol
_atom_site_fract_x
_atom_site_fract_y
_atom_site_fract_z
Sn1 Sn 0.017 0.132 0.203
S1 S 0.016 0.109 0.403
S2 S 0.016 0.529 0.888
S3 S 0.133 0.547 0.820
S4 S 0.187 0.647 0.561
S5 S 0.205 0.145 0.480
S6 S 0.238 0.085 0.048
S7 S 0.272 0.548 0.517
S8 S 0.373 0.699 0.631
S9 S 0.380 0.630 0.709
S10 S 0.383 0.203 0.454
S11 S 0.390 0.582 0.870
S12 S 0.411 0.102 0.196
S13 S 0.441 0.131 0.108
S14 S 0.448 0.603 0.041
S15 S 0.453 0.030 0.771
S16 S 0.494 0.540 0.124
Cl1 Cl 0.075 0.720 0.388
Cl2 Cl 0.081 0.019 0.834
Cl3 Cl 0.198 0.671 0.261
Cl4 Cl 0.202 0.247 0.258
O1 O 0.143 0.051 0.297
O2 O 0.238 0.072 0.179
```

Properties
DFT formation energy: -0.356 eV/atom
energy with MP2020 corrections: -0.3057 Ry per atom
total DFT energy (no corrections): -4.099 eV per atom

---

VASP calculation (PBE-GGA) on a geometry-optimized TaSCl7O structure.

```
data_TaSCl7O
_chemical_formula_sum 'Ta4 S4 Cl28 O4'
_cell_length_a 17.020
_cell_length_b 9.624
_cell_length_c 7.695
_cell_angle_alpha 90.00
_cell_angle_beta 90.00
_cell_angle_gamma 90.00
_space_group_name_H-M_alt 'P n m a'
_space_group_IT_number 62
_space_group_name_Hall '-P 2ac 2n'
loop_
_atom_site_label
_atom_site_type_symbol
_atom_site_fract_x
_atom_site_fract_y
_atom_site_fract_z
Ta1 Ta 0.135 0.250 0.000
S1 S 0.161 0.750 0.334
Cl1 Cl 0.020 0.250 0.147
Cl2 Cl 0.082 0.250 0.717
Cl3 Cl 0.122 0.586 0.483
Cl4 Cl 0.149 0.008 0.979
Cl5 Cl 0.217 0.250 0.242
O1 O 0.248 0.750 0.342
```

Properties
DFT formation energy: -1.119 eV/atom
energy with MP2020 corrections: -0.3313 Ry per atom
total DFT energy (no corrections): -4.439 eV per atom

---

VASP calculation (PBE-GGA) on a geometry-optimized TiS5Cl2O6 structure.

```
data_TiS5Cl2O6
_chemical_formula_sum 'Ti2 S10 Cl4 O12'
_cell_length_a 8.522
_cell_length_b 8.905
_cell_length_c 11.610
_cell_angle_alpha 94.07
_cell_angle_beta 111.22
_cell_angle_gamma 91.35
_space_group_name_H-M_alt 'P -1'
_space_group_IT_number 2
_space_group_name_Hall '-P 1'
loop_
_atom_site_label
_atom_site_type_symbol
_atom_site_fract_x
_atom_site_fract_y
_atom_site_fract_z
Ti1 Ti 0.069 0.252 0.165
S1 S 0.076 0.469 0.684
S2 S 0.078 0.071 0.748
S3 S 0.327 0.570 0.168
S4 S 0.356 0.263 0.512
S5 S 0.381 0.018 0.139
Cl1 Cl 0.136 0.657 0.436
Cl2 Cl 0.380 0.229 0.786
O1 O 0.015 0.616 0.725
O2 O 0.029 0.066 0.244
O3 O 0.093 0.764 0.967
O4 O 0.192 0.444 0.145
O5 O 0.246 0.133 0.119
O6 O 0.328 0.265 0.377
```

Properties
DFT formation energy: -0.911 eV/atom
energy with MP2020 corrections: -0.3923 Ry per atom
total DFT energy (no corrections): -5.043 eV per atom
energy above the most stable polymorph in this dataset: 3.911 eV/f.u.